1.
## RbBe2P3O10 (PBE)

Data for an optimized crystal structure of RbBe2P3O10.

Lattice parameters (Å, degrees): 7.5742 7.5742 9.0383 68.14 68.14 71.03
Fractional positions:
Rb  0.6992  0.3008  0.2500
Rb  0.3008  0.6992  0.7500
P  0.4979  0.8681  0.2528
P  0.5021  0.1319  0.7472
P  0.1319  0.5021  0.2472
P  0.1188  0.8812  0.2500
P  0.8812  0.1188  0.7500
P  0.8681  0.4979  0.7528
O  0.1902  0.4190  0.1025
O  0.4634  0.0864  0.1644
O  0.8193  0.2779  0.8478
O  0.1328  0.0785  0.1245
O  0.8098  0.5810  0.8975
O  0.5366  0.9136  0.8356
O  0.9215  0.8672  0.3755
O  0.9136  0.5366  0.3356
O  0.0864  0.4634  0.6644
O  0.2779  0.8193  0.3478
O  0.1807  0.7221  0.1522
O  0.7221  0.1807  0.6522
O  0.2599  0.3967  0.3641
O  0.5810  0.8098  0.3975
O  0.0785  0.1328  0.6245
O  0.8672  0.9215  0.8755
O  0.7401  0.6033  0.6359
O  0.4190  0.1902  0.6025
O  0.3967  0.2599  0.8641
O  0.6033  0.7401  0.1359
Be  0.7884  0.7003  0.4366
Be  0.2116  0.2997  0.5634
Be  0.2997  0.2116  0.0634
Be  0.7003  0.7884  0.9366

Summary:
**V**: 436.0 Å³ per cell
**Symmetry**: C2/c (15)
**Total magnetization**: 0.001 μB per formula unit
**E_tot**: -7.07 eV/atom


2.
## SrBe2P2O8 (PBE)

Data for an optimized crystal structure of SrBe2P2O8.

Lattice parameters (Å, degrees): 9.0791 8.0770 8.5108 89.85 90.00 90.00
Fractional positions:
O  0.1873  0.9446  0.5862
O  0.8359  0.7394  0.5100
O  0.6819  0.4387  0.9294
O  0.1383  0.0552  0.8645
O  0.6873  0.0554  0.9138
O  0.8127  0.0554  0.4138
O  0.8571  0.5475  0.1290
O  0.4130  0.4905  0.8009
O  0.3571  0.4525  0.3710
O  0.6429  0.5475  0.6290
O  0.4071  0.7591  0.3003
O  0.8617  0.9448  0.1355
O  0.3127  0.9446  0.0862
O  0.1641  0.2606  0.4900
O  0.3181  0.5613  0.0706
O  0.8181  0.4387  0.4294
O  0.9130  0.5095  0.6991
O  0.0870  0.4905  0.3009
O  0.3617  0.0552  0.3645
O  0.5929  0.2409  0.6997
O  0.1429  0.4525  0.8710
O  0.5870  0.5095  0.1991
O  0.0727  0.0059  0.3066
O  0.6641  0.7394  0.0100
O  0.4273  0.0059  0.8066
O  0.0929  0.7591  0.8003
O  0.9071  0.2409  0.1997
O  0.1819  0.5613  0.5706
O  0.5727  0.9941  0.1934
O  0.9273  0.9941  0.6934
O  0.6383  0.9448  0.6355
O  0.3359  0.2606  0.9900
Be  0.1931  0.0737  0.4366
Be  0.8069  0.9263  0.5634
Be  0.3069  0.0737  0.9366
Be  0.5813  0.4286  0.7736
Be  0.9187  0.4286  0.2736
Be  0.6931  0.9263  0.0634
Be  0.0813  0.5714  0.7264
Be  0.4187  0.5714  0.2264
P  0.3045  0.4363  0.9332
P  0.5857  0.0623  0.7690
P  0.0857  0.9377  0.7310
P  0.8045  0.5637  0.5668
P  0.4143  0.9377  0.2310
P  0.6955  0.5637  0.0668
P  0.1955  0.4363  0.4332
P  0.9143  0.0623  0.2690
Sr  0.5874  0.2557  0.3909
Sr  0.0874  0.7443  0.1091
Sr  0.4126  0.7443  0.6091
Sr  0.9126  0.2557  0.8909

Summary:
**V**: 624.1 Å³ per cell
**Symmetry**: P2_1/c (14)
**Total magnetization**: 0.000 μB per formula unit
**E_tot**: -7.30 eV/atom


3.
## BeTlPO4 (PBE)

Data for an optimized crystal structure of BeTlPO4.

Lattice parameters (Å, degrees): 4.9275 8.1860 9.4545 90.00 90.00 90.00
Fractional positions:
O  0.9958  0.1564  0.9786
O  0.5529  0.7095  0.7809
O  0.4958  0.6564  0.5214
O  0.6507  0.4278  0.6859
O  0.1685  0.5298  0.7000
O  0.5529  0.7905  0.2809
O  0.0529  0.2905  0.2191
O  0.1507  0.5722  0.3141
O  0.6507  0.0722  0.1859
O  0.6685  0.4702  0.3000
O  0.4958  0.8436  0.0214
O  0.1507  0.9278  0.8141
O  0.0529  0.2095  0.7191
O  0.6685  0.0298  0.8000
O  0.1685  0.9702  0.2000
O  0.9958  0.3436  0.4786
P  0.4659  0.9196  0.1708
P  0.9659  0.0804  0.8292
P  0.4659  0.5804  0.6708
P  0.9659  0.4196  0.3292
Be  0.9656  0.1155  0.1482
Be  0.4656  0.6155  0.3518
Be  0.4656  0.8845  0.8518
Be  0.9656  0.3845  0.6482
Tl  0.9716  0.6561  0.9671
Tl  0.9716  0.8439  0.4671
Tl  0.4716  0.1561  0.5329
Tl  0.4716  0.3439  0.0329

Summary:
**V**: 381.4 Å³ per cell
**Symmetry**: Pna2_1 (33)
**E_tot**: -6.68 eV/atom


4.
## PmBeO3 (PBE)

Data for an optimized crystal structure of PmBeO3.

Lattice parameters (Å, degrees): 3.6385 3.6385 3.6385 90.00 90.00 90.00
Fractional positions:
Be  0.5000  0.5000  0.5000
O  0.5000  0.5000  0.0000
O  0.5000  0.0000  0.5000
O  0.0000  0.5000  0.5000
Pm  0.0000  0.0000  0.0000

Summary:
**V**: 48.2 Å³ per cell
**Symmetry**: Pm-3m (221)
**Total magnetization**: 1.000 μB per formula unit
**E_tot**: -7.14 eV/atom


5.
## BePtO3 (PBE)

Data for an optimized crystal structure of BePtO3.

Lattice parameters (Å, degrees): 3.5027 3.5027 3.5027 90.00 90.00 90.00
Fractional positions:
O  0.5000  0.5000  0.0000
O  0.5000  0.0000  0.5000
O  0.0000  0.5000  0.5000
Be  0.5000  0.5000  0.5000
Pt  0.0000  0.0000  0.0000

Summary:
**V**: 43.0 Å³ per cell
**Symmetry**: Pm-3m (221)
**Total magnetization**: 0.001 μB per formula unit
**E_tot**: -5.23 eV/atom


6.
## RbBeO3 (PBE)

Data for an optimized crystal structure of RbBeO3.

Lattice parameters (Å, degrees): 3.8811 3.8811 3.8811 90.00 90.00 90.00
Fractional positions:
Rb  0.5000  0.5000  0.5000
O  0.0000  0.0000  0.5000
O  0.0000  0.5000  0.0000
O  0.5000  0.0000  0.0000
Be  0.0000  0.0000  0.0000

Summary:
**V**: 58.5 Å³ per cell
**Symmetry**: Pm-3m (221)
**Total magnetization**: 3.000 μB per formula unit
**E_tot**: -4.55 eV/atom


7.
## Rb2Be2Si2O7 (PBE)

Data for an optimized crystal structure of Rb2Be2Si2O7.

Lattice parameters (Å, degrees): 5.1999 8.4391 9.0139 90.00 90.00 90.00
Fractional positions:
Be  0.0045  0.2592  0.3120
Be  0.4955  0.7592  0.8120
Be  0.5045  0.2408  0.8120
Be  0.9955  0.7408  0.3120
O  0.7190  0.2530  0.6951
O  0.0000  0.0000  0.6283
O  0.2788  0.7466  0.2632
O  0.9263  0.7355  0.4778
O  0.5000  0.5000  0.1283
O  0.0737  0.2645  0.4778
O  0.7810  0.7530  0.1951
O  0.5737  0.2355  0.9778
O  0.2810  0.7470  0.6951
O  0.4263  0.7645  0.9778
O  0.7788  0.7534  0.7632
O  0.7212  0.2534  0.2632
O  0.2190  0.2470  0.1951
O  0.2212  0.2466  0.7632
Rb  0.5000  0.0000  0.4410
Rb  0.5000  0.5000  0.5017
Rb  0.0000  0.0000  0.0017
Rb  0.0000  0.5000  0.9410
Si  0.0037  0.1963  0.6419
Si  0.4963  0.6963  0.1419
Si  0.5037  0.3037  0.1419
Si  0.9963  0.8037  0.6419

Summary:
**V**: 395.6 Å³ per cell
**Symmetry**: Pnn2 (34)
**Total magnetization**: 0.001 μB per formula unit
**E_tot**: -6.83 eV/atom


8.
## BeSO8 (PBE)

Data for an optimized crystal structure of BeSO8.

Lattice parameters (Å, degrees): 7.2900 7.2900 7.2900 101.85 101.85 126.11
Fractional positions:
O  0.1279  0.1066  0.2345
O  0.6066  0.6279  0.2345
O  0.3919  0.8919  0.6743
O  0.6081  0.1081  0.3257
O  0.2175  0.7175  0.3257
O  0.6279  0.3934  0.0212
O  0.7175  0.3919  0.5000
O  0.1066  0.8721  0.9788
O  0.8721  0.8934  0.7655
O  0.8919  0.2175  0.5000
O  0.8934  0.1279  0.0212
O  0.2825  0.6081  0.5000
O  0.7825  0.2825  0.6743
O  0.1081  0.7825  0.5000
O  0.3721  0.6066  0.9788
O  0.3934  0.3721  0.7655
Be  0.5000  0.0000  0.5000
Be  0.0000  0.5000  0.5000
S  0.5000  0.5000  0.0000
S  0.0000  0.0000  0.0000

Summary:
**V**: 279.0 Å³ per cell
**Energy relative to the lowest polymorph listed for this composition**: 0.250 eV per atom
**Symmetry**: I4/mcm (140)
**Total magnetization**: 0.008 μB per formula unit
**E_tot**: -4.58 eV/atom


9.
## BeSO8 (PBE)

Data for an optimized crystal structure of BeSO8.

Lattice parameters (Å, degrees): 8.2179 8.2179 8.2179 118.25 118.25 93.06
Fractional positions:
O  0.4363  0.0759  0.6552
O  0.6583  0.9032  0.9526
O  0.4207  0.7811  0.3448
O  0.0968  0.0495  0.7552
O  0.4505  0.4032  0.2448
O  0.9363  0.2811  0.3604
O  0.9241  0.5793  0.3604
O  0.4241  0.0637  0.3448
O  0.5968  0.8417  0.0474
O  0.9505  0.7057  0.0474
O  0.9207  0.5759  0.6396
O  0.2943  0.3417  0.2448
O  0.2189  0.5637  0.6396
O  0.1583  0.2057  0.7552
O  0.7943  0.5495  0.9526
O  0.7189  0.0793  0.6552
S  0.0000  0.5000  0.5000
S  0.5000  0.0000  0.5000
Be  0.2500  0.2500  0.0000
Be  0.7500  0.7500  0.0000

Summary:
**V**: 402.2 Å³ per cell
**Energy relative to the lowest polymorph listed for this composition**: 0.000 eV per atom
**Symmetry**: I-4c2 (120)
**Total magnetization**: 0.643 μB per formula unit
**E_tot**: -5.25 eV/atom


10.
## BeSO8 (PBE)

Data for an optimized crystal structure of BeSO8.

Lattice parameters (Å, degrees): 7.5889 7.5889 7.5889 119.06 119.06 91.64
Fractional positions:
S  0.0000  0.0000  0.0000
S  0.5000  0.5000  0.0000
O  0.5472  0.5139  0.2222
O  0.5637  0.2724  0.5429
O  0.6750  0.4528  0.9667
O  0.4861  0.7083  0.0333
O  0.1750  0.2083  0.2222
O  0.2295  0.7724  0.7087
O  0.9861  0.9528  0.7778
O  0.7276  0.2705  0.2913
O  0.2276  0.9363  0.4571
O  0.9792  0.4363  0.7087
O  0.7917  0.0139  0.9667
O  0.0472  0.8250  0.0333
O  0.0637  0.5208  0.2913
O  0.2917  0.3250  0.7778
O  0.7295  0.0208  0.4571
O  0.4792  0.7705  0.5429
Be  0.2500  0.7500  0.5000
Be  0.7500  0.2500  0.5000

Summary:
**V**: 313.3 Å³ per cell
**Energy relative to the lowest polymorph listed for this composition**: 0.093 eV per atom
**Symmetry**: I-4c2 (120)
**Total magnetization**: 7.999 μB per formula unit
**E_tot**: -4.74 eV/atom


11.
## BeSO8 (PBE)

Data for an optimized crystal structure of BeSO8.

Lattice parameters (Å, degrees): 6.7224 6.7224 6.7224 107.82 107.82 112.82
Fractional positions:
Be  0.0000  0.0000  0.0000
Be  0.5000  0.5000  0.0000
O  0.7393  0.9430  0.0095
O  0.9335  0.7298  0.9905
O  0.7179  0.0042  0.4320
O  0.2179  0.7859  0.7137
O  0.2141  0.9278  0.4320
O  0.0722  0.5042  0.2863
O  0.7141  0.2821  0.2863
O  0.4335  0.4430  0.2037
O  0.0570  0.0665  0.7963
O  0.7702  0.5665  0.0095
O  0.5570  0.7607  0.9905
O  0.9958  0.4278  0.7137
O  0.2702  0.2607  0.2037
O  0.2393  0.2298  0.7963
O  0.5722  0.2859  0.5680
O  0.4958  0.7821  0.5680
S  0.2500  0.7500  0.5000
S  0.7500  0.2500  0.5000

Summary:
**V**: 233.3 Å³ per cell
**Energy relative to the lowest polymorph listed for this composition**: 0.047 eV per atom
**Symmetry**: I-4c2 (120)
**Total magnetization**: 0.001 μB per formula unit
**E_tot**: -5.21 eV/atom


12.
## BeSbO3 (PBE)

Data for an optimized crystal structure of BeSbO3.

Lattice parameters (Å, degrees): 3.5774 3.5774 3.5774 90.00 90.00 90.00
Fractional positions:
O  0.0000  0.0000  0.5000
O  0.0000  0.5000  0.0000
O  0.5000  0.0000  0.0000
Be  0.0000  0.0000  0.0000
Sb  0.5000  0.5000  0.5000

Summary:
**V**: 45.8 Å³ per cell
**Symmetry**: Pm-3m (221)
**Total magnetization**: 0.083 μB per formula unit
**E_tot**: -5.66 eV/atom